(1)
Density functional theory data (PBE) for a geometry-optimized Li2SmIn structure.

Results
For the formation energy, the calculation gives -0.3081 eV/atom. The calculation puts the volume at 84 Å³/f.u.

Unit cell a=6.9620 b=6.9620 c=6.9620 alpha=90.00 beta=90.00 gamma=90.00
Closest atoms and distances in Å follow each position.
Space group Fm-3m (No. 225)
One atom of each set of equivalent atoms:
Li  0.2500  0.2500  0.2500 (multiplicity 8)  4 In 3.01, 4 Sm 3.01
Sm  0.0000  0.0000  0.0000 (multiplicity 4)  8 Li 3.01
In  0.0000  0.0000  0.5000 (multiplicity 4)  8 Li 3.01

***

(2)
Density functional theory data (PBE) for a geometry-optimized LiTbIn2 structure.

Results
For the formation energy, the calculation gives -0.3804 eV/atom. The calculation puts the volume at 97 Å³/f.u.

Unit cell a=7.2963 b=7.2963 c=7.2963 alpha=90.00 beta=90.00 gamma=90.00
Closest atoms and distances in Å follow each position.
Space group Fm-3m (No. 225)
One atom of each set of equivalent atoms:
Li  0.0000  0.0000  0.0000 (multiplicity 4)  8 In 3.16
Tb  0.0000  0.0000  0.5000 (multiplicity 4)  8 In 3.16
In  0.2500  0.2500  0.2500 (multiplicity 8)  4 Tb 3.16, 4 Li 3.16

***

(3)
Density functional theory data (PBE) for a geometry-optimized LiTmIn2 structure.

Results
For the formation energy, the calculation gives -0.3586 eV/atom. The calculation puts the volume at 94 Å³/f.u.

Unit cell a=7.2192 b=7.2192 c=7.2192 alpha=90.00 beta=90.00 gamma=90.00
Closest atoms and distances in Å follow each position.
Space group Fm-3m (No. 225)
One atom of each set of equivalent atoms:
Li  0.0000  0.0000  0.0000 (multiplicity 4)  8 In 3.13
Tm  0.0000  0.0000  0.5000 (multiplicity 4)  8 In 3.13
In  0.2500  0.2500  0.2500 (multiplicity 8)  4 Li 3.13, 4 Tm 3.13

***

(4)
Density functional theory data (PBE) for a geometry-optimized LiTm2In structure.

Results
For the formation energy, the calculation gives -0.2419 eV/atom. The calculation puts the volume at 100 Å³/f.u.

Unit cell a=7.3627 b=7.3627 c=7.3627 alpha=90.00 beta=90.00 gamma=90.00
Closest atoms and distances in Å follow each position.
Space group Fm-3m (No. 225)
One atom of each set of equivalent atoms:
Li  0.0000  0.0000  0.0000 (multiplicity 4)  8 Tm 3.19
Tm  0.2500  0.2500  0.2500 (multiplicity 8)  4 In 3.19, 4 Li 3.19
In  0.0000  0.0000  0.5000 (multiplicity 4)  8 Tm 3.19

***

(5)
Density functional theory data (PBE) for a geometry-optimized Li2TmIn structure.

Results
For the formation energy, the calculation gives -0.2596 eV/atom. The calculation puts the volume at 79 Å³/f.u.

Unit cell a=6.8009 b=6.8009 c=6.8009 alpha=90.00 beta=90.00 gamma=90.00
Closest atoms and distances in Å follow each position.
Space group Fm-3m (No. 225)
One atom of each set of equivalent atoms:
Li  0.2500  0.2500  0.2500 (multiplicity 8)  4 In 2.94, 4 Tm 2.94
Tm  0.0000  0.0000  0.0000 (multiplicity 4)  8 Li 2.94
In  0.0000  0.0000  0.5000 (multiplicity 4)  8 Li 2.94

***

(6)
Density functional theory data (PBE) for a geometry-optimized LuIn structure.

Results
For the formation energy, the calculation gives -0.3850 eV/atom. The calculation puts the volume at 50 Å³/f.u.

Unit cell a=3.5031 b=3.5031 c=4.1033 alpha=90.00 beta=90.00 gamma=90.00
Closest atoms and distances in Å follow each position.
Space group P4/mmm (No. 123)
One atom of each set of equivalent atoms:
Lu  0.0000  0.0000  0.0000 (multiplicity 1)  8 In 3.22, 4 Lu 3.50
In  0.5000  0.5000  0.5000 (multiplicity 1)  8 Lu 3.22, 4 In 3.50

***

(7)
Density functional theory data (PBE) for a geometry-optimized Lu2In structure.

Results
For the formation energy, the calculation gives -0.3277 eV/atom. The calculation puts the volume at 80 Å³/f.u.

Unit cell a=5.2829 b=5.2829 c=6.6091 alpha=90.00 beta=90.00 gamma=120.00
Closest atoms and distances in Å follow each position.
Space group P6_3/mmc (No. 194)
One atom of each set of equivalent atoms:
Lu  0.0000  0.0000  0.0000 (multiplicity 2)  8 Lu 3.30-3.47, 6 In 3.47
Lu  0.3333  0.6667  0.2500 (multiplicity 2)  5 In 3.05-3.30
In  0.3333  0.6667  0.7500 (multiplicity 2)  5 Lu 3.05-3.30

***

(8)
Density functional theory data (PBE) for a geometry-optimized Lu5In4 structure.

Results
For the formation energy, the calculation gives -0.3809 eV/atom. The calculation puts the volume at 235 Å³/f.u.

Unit cell a=9.0800 b=9.0800 c=6.5923 alpha=90.00 beta=90.00 gamma=120.00
Closest atoms and distances in Å follow each position.
Space group P6_3/mcm (No. 193)
One atom of each set of equivalent atoms:
Lu  0.0000  0.2883  0.2500 (multiplicity 6)  7 In 3.06-3.39
Lu  0.3333  0.6667  0.0000 (multiplicity 4)  8 Lu 3.30-3.64, 6 In 3.30
In  0.0000  0.0000  0.0000 (multiplicity 2)  6 Lu 3.09, 2 In 3.30
In  0.0000  0.3744  0.7500 (multiplicity 6)  9 Lu 3.06-3.39

***

(9)
Density functional theory data (PBE) for a geometry-optimized LuIn2 structure.

Results
For the formation energy, the calculation gives -0.3587 eV/atom. The calculation puts the volume at 75 Å³/f.u.

Unit cell a=4.6450 b=14.0201 c=4.5809 alpha=90.00 beta=90.00 gamma=90.00
Closest atoms and distances in Å follow each position.
Space group Cmmm (No. 65)
One atom of each set of equivalent atoms:
Lu  0.0000  0.1556  0.0000 (multiplicity 4)  10 In 3.16-3.30, 2 Lu 3.52
In  0.0000  0.0000  0.5000 (multiplicity 2)  4 Lu 3.16, 8 In 3.26-3.38
In  0.0000  0.3251  0.5000 (multiplicity 4)  6 In 3.14-3.38, 6 Lu 3.27-3.30
In  0.0000  0.5000  0.0000 (multiplicity 2)  4 Lu 3.19, 8 In 3.26-3.35

***

(10)
Density functional theory data (PBE) for a geometry-optimized Lu2MgIn structure.

Results
For the formation energy, the calculation gives -0.2624 eV/atom. The calculation puts the volume at 100 Å³/f.u.

Unit cell a=7.3803 b=7.3803 c=7.3803 alpha=90.00 beta=90.00 gamma=90.00
Closest atoms and distances in Å follow each position.
Space group Fm-3m (No. 225)
One atom of each set of equivalent atoms:
Lu  0.2500  0.2500  0.2500 (multiplicity 8)  4 In 3.20, 4 Mg 3.20
Mg  0.0000  0.0000  0.0000 (multiplicity 4)  8 Lu 3.20
In  0.0000  0.0000  0.5000 (multiplicity 4)  8 Lu 3.20

***

(11)
Density functional theory data (PBE) for a geometry-optimized LuMgIn structure.

Results
For the formation energy, the calculation gives -0.3219 eV/atom. The calculation puts the volume at 74 Å³/f.u.

Unit cell a=7.4684 b=7.4684 c=4.5865 alpha=90.00 beta=90.00 gamma=120.00
Closest atoms and distances in Å follow each position.
Space group P-62m (No. 189)
One atom of each set of equivalent atoms:
Lu  0.0000  0.5743  0.0000 (multiplicity 3)  5 In 3.18-3.20, 2 Mg 3.36
Mg  0.0000  0.2456  0.5000 (multiplicity 3)  4 In 2.87-2.94, 2 Mg 3.18
In  0.0000  0.0000  0.0000 (multiplicity 1)  6 Mg 2.94, 3 Lu 3.18
In  0.3333  0.6667  0.5000 (multiplicity 2)  3 Mg 2.87, 6 Lu 3.20

***

(12)
Density functional theory data (PBE) for a geometry-optimized LuMnIn structure.

Results
For the formation energy, the calculation gives -0.0713 eV/atom. The calculation puts the volume at 66 Å³/f.u. The total magnetization is 3.51 μB/f.u.

Unit cell a=4.7366 b=4.7366 c=3.4007 alpha=90.00 beta=90.00 gamma=120.00
Closest atoms and distances in Å follow each position.
Space group P-6m2 (No. 187)
One atom of each set of equivalent atoms:
Lu  0.0000  0.0000  0.0000 (multiplicity 1)  6 In 3.22, 6 Mn 3.22, 2 Lu 3.40
Mn  0.3333  0.6667  0.5000 (multiplicity 1)  3 In 2.73
In  0.6667  0.3333  0.5000 (multiplicity 1)  3 Mn 2.73

***

(13)
Density functional theory data (PBE) for a geometry-optimized Lu3InN structure.

Results
For the formation energy, the calculation gives -1.0901 eV/atom. The calculation puts the volume at 103 Å³/f.u.

Unit cell a=4.6843 b=4.6843 c=4.6843 alpha=90.00 beta=90.00 gamma=90.00
Closest atoms and distances in Å follow each position.
Space group Pm-3m (No. 221)
One atom of each set of equivalent atoms:
Lu  0.0000  0.0000  0.5000 (multiplicity 3)  2 N 2.34
In  0.5000  0.5000  0.5000 (multiplicity 1)  12 Lu 3.31
N  0.0000  0.0000  0.0000 (multiplicity 1)  6 Lu 2.34

***

(14)
Density functional theory data (PBE) for a geometry-optimized LuInNi2 structure.

Results
For the formation energy, the calculation gives -0.4136 eV/atom. The calculation puts the volume at 65 Å³/f.u. The total magnetization is 0.00 μB/f.u.

Unit cell a=6.3787 b=6.3787 c=6.3787 alpha=90.00 beta=90.00 gamma=90.00
Closest atoms and distances in Å follow each position.
Space group Fm-3m (No. 225)
One atom of each set of equivalent atoms:
Lu  0.0000  0.0000  0.0000 (multiplicity 4)  8 Ni 2.76
In  0.0000  0.0000  0.5000 (multiplicity 4)  8 Ni 2.76
Ni  0.2500  0.2500  0.2500 (multiplicity 8)  4 In 2.76, 4 Lu 2.76

***

(15)
Density functional theory data (PBE) for a geometry-optimized Lu2InNi2 structure.

Results
For the formation energy, the calculation gives -0.5393 eV/atom. The calculation puts the volume at 95 Å³/f.u. The total magnetization is 0.00 μB/f.u.

Unit cell a=7.3033 b=7.3033 c=3.5508 alpha=90.00 beta=90.00 gamma=90.00
Closest atoms and distances in Å follow each position.
Space group P4/mbm (No. 127)
One atom of each set of equivalent atoms:
Lu  0.1725  0.3275  0.0000 (multiplicity 4)  6 Ni 2.78-2.81
In  0.0000  0.0000  0.5000 (multiplicity 2)  4 Ni 2.91, 8 Lu 3.23
Ni  0.1209  0.6209  0.5000 (multiplicity 4)  1 Ni 2.50, 2 Lu 2.78

***

(16)
Density functional theory data (PBE) for a geometry-optimized Lu10In20Ni9 structure.

Results
For the formation energy, the calculation gives -0.4018 eV/atom. The calculation puts the volume at 799 Å³/f.u. The total magnetization is 0.02 μB/f.u.

Unit cell a=13.3223 b=13.3223 c=9.0038 alpha=90.00 beta=90.00 gamma=90.00
Closest atoms and distances in Å follow each position.
Space group P4/nmm (No. 129, origin choice 2)
One atom of each set of equivalent atoms:
Lu  0.0257  0.7500  0.2319 (multiplicity 8)  2 Ni 2.86, 4 In 3.05-3.07
Lu  0.0480  0.0480  0.2658 (multiplicity 8)  3 Ni 3.00-3.06, 7 In 3.13-3.21
Lu  0.2500  0.2500  0.3610 (multiplicity 2)  4 Ni 3.00, 8 In 3.23-3.26
Lu  0.2500  0.2500  0.8367 (multiplicity 2)  4 Ni 2.98, 8 In 3.21-3.33
In  0.0842  0.2500  0.0947 (multiplicity 8)  3 Ni 2.74-2.93
In  0.0959  0.5959  0.0000 (multiplicity 8)  3 Ni 2.70-2.90, 2 In 3.00
In  0.1181  0.1181  0.5907 (multiplicity 8)  3 Ni 2.69-2.79
In  0.1177  0.6177  0.5000 (multiplicity 8)  2 Ni 2.74, 2 In 2.97
In  0.1346  0.7500  0.7640 (multiplicity 8)  2 Ni 2.62-2.66
Ni  0.0275  0.2500  0.4093 (multiplicity 8)  6 In 2.66-2.93
Ni  0.0945  0.0945  0.8966 (multiplicity 8)  5 In 2.70-2.79, 3 Lu 2.86-2.98
Ni  0.2500  0.7500  0.0000 (multiplicity 2)  8 In 2.62-2.90

***

(17)
Density functional theory data (PBE) for a geometry-optimized Lu2InNi2 structure.

Results
For the formation energy, the calculation gives -0.5583 eV/atom. The calculation puts the volume at 97 Å³/f.u.

Unit cell a=3.8876 b=14.0749 c=3.5619 alpha=90.00 beta=90.00 gamma=90.00
Closest atoms and distances in Å follow each position.
Space group Cmmm (No. 65)
One atom of each set of equivalent atoms:
Lu  0.0000  0.1405  0.0000 (multiplicity 4)  6 Ni 2.76-2.89
In  0.0000  0.5000  0.5000 (multiplicity 2)  2 Ni 2.78
Ni  0.0000  0.3022  0.5000 (multiplicity 4)  2 Ni 2.44

***

(18)
Density functional theory data (PBE) for a geometry-optimized LuInPd structure.

Results
For the formation energy, the calculation gives -0.8013 eV/atom. The calculation puts the volume at 64 Å³/f.u.

Unit cell a=7.7444 b=7.7444 c=3.7031 alpha=90.00 beta=90.00 gamma=120.00
Closest atoms and distances in Å follow each position.
Space group P-62m (No. 189)
One atom of each set of equivalent atoms:
Lu  0.0000  0.4115  0.0000 (multiplicity 3)  5 Pd 2.98-3.19, 2 In 3.13
In  0.0000  0.7380  0.5000 (multiplicity 3)  4 Pd 2.75-2.90
Pd  0.0000  0.0000  0.0000 (multiplicity 1)  6 In 2.75
Pd  0.3333  0.6667  0.5000 (multiplicity 2)  3 In 2.90, 6 Lu 2.98

***

(19)
Density functional theory data (PBE) for a geometry-optimized LuInPd2 structure.

Results
For the formation energy, the calculation gives -0.8601 eV/atom. The calculation puts the volume at 76 Å³/f.u.

Unit cell a=6.7203 b=6.7203 c=6.7203 alpha=90.00 beta=90.00 gamma=90.00
Closest atoms and distances in Å follow each position.
Space group Fm-3m (No. 225)
One atom of each set of equivalent atoms:
Lu  0.0000  0.0000  0.0000 (multiplicity 4)  8 Pd 2.91
In  0.0000  0.0000  0.5000 (multiplicity 4)  8 Pd 2.91
Pd  0.2500  0.2500  0.2500 (multiplicity 8)  4 In 2.91, 4 Lu 2.91

***

(20)
Density functional theory data (PBE) for a geometry-optimized LuIn2Pd structure.

Results
For the formation energy, the calculation gives -0.6184 eV/atom. The calculation puts the volume at 86 Å³/f.u. The total magnetization is 0.00 μB/f.u.

Unit cell a=13.7614 b=13.7614 c=9.1218 alpha=90.00 beta=90.00 gamma=90.00
Closest atoms and distances in Å follow each position.
Space group I4mm (No. 107)
One atom of each set of equivalent atoms:
Lu  0.0000  0.0000  0.0000 (multiplicity 2)  4 Pd 3.21, 8 In 3.26-3.32
Lu  0.0000  0.0000  0.4616 (multiplicity 2)  4 Pd 2.92
Lu  0.0000  0.2806  0.0674 (multiplicity 8)  2 Pd 3.05, 6 In 3.11-3.24
Lu  0.2014  0.2014  0.5785 (multiplicity 8)  4 Pd 3.02-3.25, 6 In 3.16-3.23
In  0.0000  0.1605  0.7372 (multiplicity 8)  3 Pd 2.80-2.87, 2 In 3.12
In  0.0000  0.3827  0.5911 (multiplicity 8)  3 Pd 2.77-2.80, 2 In 3.02
In  0.1317  0.1317  0.2306 (multiplicity 8)  3 Pd 2.80-2.85, 2 Lu 3.11
In  0.1423  0.3505  0.3303 (multiplicity 16)  3 Pd 2.84-2.89, 3 In 3.02-3.15, 2 Lu 3.16-3.17
Pd  0.0000  0.2116  0.4317 (multiplicity 8)  6 In 2.77-2.89, 3 Lu 2.92-3.08
Pd  0.0000  0.5000  0.3417 (multiplicity 4)  8 In 2.79-2.84
Pd  0.1612  0.1612  0.9248 (multiplicity 8)  5 In 2.80-2.85, 3 Lu 3.02-3.05